Arrangement one

K2Fe2P2O7F2 | PBE+U | optimized geometry

Computed properties:
Space-group type: Pbcn (60)

a b c (Å): 7.3103 11.8925 11.1128
angles (deg): 90.00 90.00 90.00
Element x y z (fractional)
K1 0.0728 0.1848 0.0488
K2 0.0728 0.8152 0.5488
K3 0.4272 0.3152 0.5488
K4 0.4272 0.6848 0.0488
K5 0.5728 0.3152 0.9512
K6 0.5728 0.6848 0.4512
K7 0.9272 0.1848 0.4512
K8 0.9272 0.8152 0.9512
Fe1 0.0000 0.3848 0.7500
Fe2 0.0000 0.5000 0.0000
Fe3 0.0000 0.5000 0.5000
Fe4 0.0000 0.6152 0.2500
Fe5 0.5000 0.0000 0.0000
Fe6 0.5000 0.0000 0.5000
Fe7 0.5000 0.1152 0.2500
Fe8 0.5000 0.8848 0.7500
P1 0.1946 0.0844 0.7181
P2 0.1946 0.9156 0.2181
P3 0.3054 0.4156 0.2181
P4 0.3054 0.5844 0.7181
P5 0.6946 0.4156 0.2819
P6 0.6946 0.5844 0.7819
P7 0.8054 0.0844 0.7819
P8 0.8054 0.9156 0.2819
O1 0.0000 0.1419 0.7500
O2 0.0000 0.8581 0.2500
O3 0.0592 0.3656 0.5835
O4 0.0592 0.6344 0.0835
O5 0.2225 0.0851 0.5847
O6 0.2225 0.9149 0.0847
O7 0.2255 0.0181 0.2935
O8 0.2255 0.9819 0.7935
O9 0.2745 0.4819 0.7935
O10 0.2745 0.5181 0.2935
O11 0.2775 0.4149 0.0847
O12 0.2775 0.5851 0.5847
O13 0.4408 0.1344 0.0835
O14 0.4408 0.8656 0.5835
O15 0.5000 0.3581 0.2500
O16 0.5000 0.6419 0.7500
O17 0.5592 0.1344 0.4165
O18 0.5592 0.8656 0.9165
O19 0.7225 0.4149 0.4153
O20 0.7225 0.5851 0.9153
O21 0.7255 0.4819 0.7065
O22 0.7255 0.5181 0.2065
O23 0.7745 0.0181 0.2065
O24 0.7745 0.9819 0.7065
O25 0.7775 0.0851 0.9153
O26 0.7775 0.9149 0.4153
O27 0.9408 0.3656 0.9165
O28 0.9408 0.6344 0.4165
F1 0.1847 0.3149 0.2733
F2 0.1847 0.6851 0.7733
F3 0.3153 0.1851 0.7733
F4 0.3153 0.8149 0.2733
F5 0.6847 0.1851 0.7267
F6 0.6847 0.8149 0.2267
F7 0.8153 0.3149 0.2267
F8 0.8153 0.6851 0.7267

***

Arrangement two

K2Fe2P2O7F2 | PBE+U | optimized geometry

Computed properties:
Space-group type: Pbcn (60)

a b c (Å): 7.0816 10.3204 10.6100
angles (deg): 90.00 90.00 90.00
Element x y z (fractional)
K1 0.0695 0.1638 0.0536
K2 0.0695 0.8362 0.5536
K3 0.4305 0.3362 0.5536
K4 0.4305 0.6638 0.0536
K5 0.5695 0.3362 0.9464
K6 0.5695 0.6638 0.4464
K7 0.9305 0.1638 0.4464
K8 0.9305 0.8362 0.9464
Fe1 0.0000 0.3389 0.7500
Fe2 0.0000 0.5000 0.0000
Fe3 0.0000 0.5000 0.5000
Fe4 0.0000 0.6611 0.2500
Fe5 0.5000 0.0000 0.0000
Fe6 0.5000 0.0000 0.5000
Fe7 0.5000 0.1611 0.2500
Fe8 0.5000 0.8389 0.7500
P1 0.2097 0.0713 0.7544
P2 0.2097 0.9287 0.2544
P3 0.2903 0.4287 0.2544
P4 0.2903 0.5713 0.7544
P5 0.7097 0.4287 0.2456
P6 0.7097 0.5713 0.7456
P7 0.7903 0.0713 0.7456
P8 0.7903 0.9287 0.2456
O1 0.0000 0.0071 0.2500
O2 0.0000 0.9929 0.7500
O3 0.1360 0.1846 0.6611
O4 0.1360 0.8154 0.1611
O5 0.1563 0.4924 0.6608
O6 0.1563 0.5076 0.1608
O7 0.2342 0.4958 0.8843
O8 0.2342 0.5042 0.3843
O9 0.2658 0.0042 0.3843
O10 0.2658 0.9958 0.8843
O11 0.3437 0.0076 0.1608
O12 0.3437 0.9924 0.6608
O13 0.3640 0.3154 0.1611
O14 0.3640 0.6846 0.6611
O15 0.5000 0.4929 0.7500
O16 0.5000 0.5071 0.2500
O17 0.6360 0.3154 0.3389
O18 0.6360 0.6846 0.8389
O19 0.6563 0.0076 0.3392
O20 0.6563 0.9924 0.8392
O21 0.7342 0.0042 0.1157
O22 0.7342 0.9958 0.6157
O23 0.7658 0.4958 0.6157
O24 0.7658 0.5042 0.1157
O25 0.8437 0.4924 0.8392
O26 0.8437 0.5076 0.3392
O27 0.8640 0.1846 0.8389
O28 0.8640 0.8154 0.3389
F1 0.1768 0.2920 0.3333
F2 0.1768 0.7080 0.8333
F3 0.3232 0.2080 0.8333
F4 0.3232 0.7920 0.3333
F5 0.6768 0.2080 0.6667
F6 0.6768 0.7920 0.1667
F7 0.8232 0.2920 0.1667
F8 0.8232 0.7080 0.6667

***

Relative to the most stable one, in meV/atom, the structures come out at arrangement one 0; arrangement two 79.

***

Arrangement one

Ba2MgW2O8 | PBE+U | optimized geometry

Computed properties:
Space-group type: P1 (1)

a b c (Å): 6.5703 6.6932 7.0906
angles (deg): 107.14 114.78 103.43
Element x y z (fractional)
Ba1 0.0000 0.0000 0.0000
Ba2 0.2691 0.5424 0.8216
Mg1 0.8592 0.0136 0.4032
W1 0.4629 0.9990 0.5434
W2 0.7330 0.4787 0.2846
O1 0.2305 0.1242 0.5334
O2 0.3749 0.8736 0.2312
O3 0.3939 0.3251 0.0985
O4 0.4940 0.8471 0.7269
O5 0.7617 0.7033 0.1660
O6 0.8114 0.1477 0.6640
O7 0.8632 0.2539 0.2852
O8 0.9115 0.6808 0.6011

***

Arrangement two

Ba2MgW2O8 | PBE+U | optimized geometry

Computed properties:
Space-group type: P1 (1)

a b c (Å): 4.0556 5.7679 9.2096
angles (deg): 90.68 101.05 91.44
Element x y z (fractional)
Ba1 0.0000 0.0000 0.0000
Ba2 0.3619 0.4969 0.6374
Mg1 0.3762 0.9096 0.3423
W1 0.6693 0.4897 0.2628
W2 0.8573 0.9863 0.5994
O1 0.1779 0.5423 0.2964
O2 0.3279 0.9754 0.5642
O3 0.5644 0.3092 0.0942
O4 0.5868 0.8055 0.1670
O5 0.7203 0.1972 0.4059
O6 0.7516 0.7069 0.4587
O7 0.8896 0.2318 0.7355
O8 0.9358 0.7616 0.7607

***

Relative to the most stable one, in meV/atom, the structures come out at arrangement one 0; arrangement two 13.

***

Arrangement one

Li2P5WO15 | PBE+U | optimized geometry

Computed properties:
Space-group type: P2_1/m (11)

a b c (Å): 5.3626 13.5623 8.9824
angles (deg): 90.00 102.28 90.00
Element x y z (fractional)
Li1 0.0539 0.1240 0.0798
Li2 0.0539 0.3760 0.0798
Li3 0.9461 0.6240 0.9202
Li4 0.9461 0.8760 0.9202
P1 0.0069 0.1422 0.5167
P2 0.0069 0.3578 0.5167
P3 0.3356 0.0770 0.8190
P4 0.3356 0.4230 0.8190
P5 0.4579 0.7500 0.9865
P6 0.5421 0.2500 0.0135
P7 0.6644 0.5770 0.1810
P8 0.6644 0.9230 0.1810
P9 0.9931 0.6422 0.4833
P10 0.9931 0.8578 0.4833
W1 0.5000 0.0000 0.5000
W2 0.5000 0.5000 0.5000
O1 0.0664 0.2500 0.4623
O2 0.1369 0.0734 0.4248
O3 0.1369 0.4266 0.4248
O4 0.1453 0.1440 0.6927
O5 0.1453 0.3560 0.6927
O6 0.1882 0.0369 0.9283
O7 0.1882 0.4631 0.9283
O8 0.1961 0.7500 0.8859
O9 0.2755 0.6321 0.4970
O10 0.2755 0.8679 0.4970
O11 0.2999 0.2500 0.0722
O12 0.4566 0.6576 0.1035
O13 0.4566 0.8424 0.1035
O14 0.4769 0.0066 0.7362
O15 0.4769 0.4934 0.7362
O16 0.5231 0.5066 0.2638
O17 0.5231 0.9934 0.2638
O18 0.5434 0.1576 0.8965
O19 0.5434 0.3424 0.8965
O20 0.7001 0.7500 0.9278
O21 0.7245 0.1321 0.5030
O22 0.7245 0.3679 0.5030
O23 0.8039 0.2500 0.1141
O24 0.8118 0.5369 0.0717
O25 0.8118 0.9631 0.0717
O26 0.8547 0.6440 0.3073
O27 0.8547 0.8560 0.3073
O28 0.8631 0.5734 0.5752
O29 0.8631 0.9266 0.5752
O30 0.9336 0.7500 0.5377

***

Arrangement two

Li2P5WO15 | PBE+U | optimized geometry

Computed properties:
Space-group type: Cc (9)

a b c (Å): 6.8744 6.8744 13.9249
angles (deg): 96.84 96.84 112.71
Element x y z (fractional)
Li1 0.1301 0.8699 0.5000
Li2 0.4355 0.9169 0.8607
Li3 0.8699 0.1301 0.0000
Li4 0.9169 0.4355 0.3607
P1 0.0182 0.6232 0.0379
P2 0.1064 0.8965 0.2377
P3 0.2470 0.3802 0.5084
P4 0.2821 0.4901 0.7297
P5 0.3802 0.2470 0.0084
P6 0.4901 0.2821 0.2297
P7 0.4937 0.7439 0.0358
P8 0.6232 0.0182 0.5379
P9 0.7439 0.4937 0.5358
P10 0.8965 0.1064 0.7377
W1 0.5965 0.8510 0.2901
W2 0.8510 0.5965 0.7901
O1 0.0072 0.8004 0.1238
O2 0.1343 0.1456 0.4999
O3 0.1457 0.1343 0.9999
O4 0.1481 0.2435 0.7380
O5 0.1871 0.4921 0.4323
O6 0.1958 0.6349 0.7873
O7 0.2338 0.5024 0.6168
O8 0.2435 0.1481 0.2380
O9 0.2561 0.8002 0.2780
O10 0.2583 0.7431 0.0157
O11 0.4217 0.9801 0.5756
O12 0.4522 0.5014 0.0216
O13 0.4921 0.1871 0.9323
O14 0.5014 0.4522 0.5216
O15 0.5024 0.2338 0.1168
O16 0.5122 0.5396 0.7658
O17 0.5396 0.5122 0.2658
O18 0.5994 0.8495 0.1400
O19 0.6108 0.8543 0.9610
O20 0.6216 0.8767 0.4466
O21 0.6349 0.1958 0.2873
O22 0.7431 0.2583 0.5157
O23 0.8004 0.0072 0.6238
O24 0.8002 0.2561 0.7780
O25 0.8495 0.5994 0.6400
O26 0.8543 0.6108 0.4610
O27 0.8767 0.6216 0.9466
O28 0.8850 0.9300 0.7933
O29 0.9300 0.8850 0.2933
O30 0.9801 0.4217 0.0756

***

Relative to the most stable one, in meV/atom, the structures come out at arrangement one 0; arrangement two 34.

***

Arrangement one

MgV4O8 | PBE+U | optimized geometry

Computed properties:
Space-group type: P1 (1)

a b c (Å): 3.0178 6.5196 7.6225
angles (deg): 90.07 101.34 103.34
Element x y z (fractional)
Mg1 0.0000 0.0000 0.0000
V1 0.1356 0.8016 0.4716
V2 0.3110 0.4432 0.1790
V3 0.6882 0.5552 0.8268
V4 0.8640 0.1967 0.5340
O1 0.0545 0.3796 0.7341
O2 0.3399 0.0384 0.6449
O3 0.3483 0.7404 0.9589
O4 0.3535 0.3075 0.4018
O5 0.6460 0.6908 0.6039
O6 0.6510 0.2593 0.0455
O7 0.6601 0.9600 0.3617
O8 0.9446 0.6188 0.2716

***

Arrangement two

MgV4O8 | PBE+U | optimized geometry

Computed properties:
Space-group type: C2/m (12)

a b c (Å): 6.5655 6.5655 6.6136
angles (deg): 107.13 107.13 33.12
Element x y z (fractional)
Mg1 0.0000 0.0000 0.0000
V1 0.3019 0.3019 0.7119
V2 0.3972 0.3972 0.3102
V3 0.6028 0.6028 0.6898
V4 0.6981 0.6981 0.2881
O1 0.1515 0.1515 0.7404
O2 0.2339 0.2339 0.3536
O3 0.3935 0.3935 0.9832
O4 0.4402 0.4402 0.6299
O5 0.5598 0.5598 0.3701
O6 0.6065 0.6065 0.0168
O7 0.7661 0.7661 0.6464
O8 0.8485 0.8485 0.2596

***

Relative to the most stable one, in meV/atom, the structures come out at arrangement one 63; arrangement two 0.

***

Arrangement one

MgCd2W2O8 | PBE+U | optimized geometry

Computed properties:
Space-group type: P2 (3)

a b c (Å): 5.2387 6.4546 5.4777
angles (deg): 90.00 100.49 90.00
Element x y z (fractional)
Mg1 0.0000 0.0000 0.0000
Cd1 0.0000 0.2060 0.5000
Cd2 0.5000 0.7516 0.5000
W1 0.0000 0.5409 0.0000
W2 0.5000 0.2528 0.0000
O1 0.1677 0.7630 0.2165
O2 0.2092 0.2850 0.1977
O3 0.2749 0.4874 0.8056
O4 0.2929 0.0451 0.7949
O5 0.7071 0.0451 0.2051
O6 0.7251 0.4874 0.1944
O7 0.7908 0.2850 0.8023
O8 0.8323 0.7630 0.7835

***

Arrangement two

MgCd2W2O8 | PBE+U | optimized geometry

Computed properties:
Space-group type: P2 (3)

a b c (Å): 5.1529 6.3657 5.2999
angles (deg): 90.00 93.19 90.00
Element x y z (fractional)
Mg1 0.0000 0.0000 0.0000
Cd1 0.0000 0.4402 0.0000
Cd2 0.5000 0.7172 0.0000
W1 0.0000 0.9220 0.5000
W2 0.5000 0.2406 0.5000
O1 0.1239 0.7427 0.7764
O2 0.1936 0.1668 0.7144
O3 0.2927 0.9918 0.2831
O4 0.3634 0.4382 0.2541
O5 0.6366 0.4382 0.7459
O6 0.7073 0.9918 0.7169
O7 0.8064 0.1668 0.2856
O8 0.8761 0.7427 0.2236

***

Relative to the most stable one, in meV/atom, the structures come out at arrangement one 0; arrangement two 70.